K2PtO6 PBE relaxed; MP2020-corrected energy = -4.921 eV/atom; crystal system = trigonal; energy above the most stable polymorph in this dataset = 250 meV/atom; total moment = 1.428 μB/cell
1.0
-3.7852 -1.4126 4.0067
-2.1138 -5.1751 -1.0620
2.2774 -3.7996 3.5713
O Pt K
6 1 2
direct
0.2762 0.8181 0.1622 O
0.8378 0.7238 0.1819 O
0.8181 0.1622 0.2762 O
0.7238 0.1819 0.8378 O
0.1622 0.2762 0.8181 O
0.1819 0.8378 0.7238 O
0.0000 0.0000 0.0000 Pt
0.7202 0.7202 0.7202 K
0.2798 0.2798 0.2798 K

=====

CeOs2 PBE relaxed; crystal system = cubic
1.0
-3.8169 -3.8169 0.0000
-3.8169 0.0000 -3.8169
0.0000 -3.8169 -3.8169
Os Ce
4 2
direct
0.8750 0.3750 0.8750 Os
0.8750 0.8750 0.3750 Os
0.3750 0.8750 0.8750 Os
0.8750 0.8750 0.8750 Os
0.2500 0.2500 0.2500 Ce
0.5000 0.5000 0.5000 Ce

=====

BaTiCu4P4O17 PBE relaxed; MP2020-corrected energy = -7.291 eV/atom; crystal system = tetragonal; total moment = 8.001 μB/cell
1.0
9.7137 0.0000 0.0000
0.0000 9.7137 0.0000
0.0000 0.0000 7.2486
O Ba Cu Ti P
34 2 8 2 8
direct
0.1623 0.1245 0.7318 O
0.3377 0.6245 0.2682 O
0.6356 0.1510 0.4453 O
0.0000 0.5000 0.2103 O
0.3755 0.6623 0.7318 O
0.1132 0.3385 0.9040 O
0.1510 0.6356 0.5547 O
0.6510 0.8644 0.4453 O
0.8377 0.8755 0.7318 O
0.6623 0.3755 0.2682 O
0.3180 0.3470 0.2480 O
0.8470 0.1820 0.2480 O
0.6132 0.1615 0.0960 O
0.6530 0.6820 0.7520 O
0.6245 0.3377 0.7318 O
0.5000 0.0000 0.7897 O
0.8180 0.1530 0.7520 O
0.6615 0.8868 0.0960 O
0.8644 0.6510 0.5547 O
0.8868 0.6615 0.9040 O
0.1530 0.8180 0.2480 O
0.8385 0.3868 0.9040 O
0.1356 0.3490 0.5547 O
0.3868 0.8385 0.0960 O
0.1820 0.8470 0.7520 O
0.1245 0.1623 0.2682 O
0.3644 0.8490 0.4453 O
0.3490 0.1356 0.4453 O
0.8490 0.3644 0.5547 O
0.8755 0.8377 0.2682 O
0.3470 0.3180 0.7520 O
0.3385 0.1132 0.0960 O
0.6820 0.6530 0.2480 O
0.1615 0.6132 0.9040 O
0.0000 0.0000 0.0000 Ba
0.5000 0.5000 0.0000 Ba
0.9880 0.2676 0.4046 Cu
0.4880 0.2324 0.5954 Cu
0.7324 0.0120 0.5954 Cu
0.7676 0.5120 0.4046 Cu
0.2676 0.9880 0.5954 Cu
0.2324 0.4880 0.4046 Cu
0.5120 0.7676 0.5954 Cu
0.0120 0.7324 0.4046 Cu
0.5000 0.0000 0.0247 Ti
0.0000 0.5000 0.9753 Ti
0.1928 0.2808 0.7376 P
0.2192 0.6928 0.7376 P
0.8072 0.7192 0.7376 P
0.6928 0.2192 0.2624 P
0.7808 0.3072 0.7376 P
0.3072 0.7808 0.2624 P
0.2808 0.1928 0.2624 P
0.7192 0.8072 0.2624 P

=====

CeSe2 PBE relaxed; MP2020-corrected energy = -5.711 eV/atom; crystal system = monoclinic; total moment = 0.027 μB/cell
1.0
-9.5217 2.5648 5.9727
-4.6586 -9.7685 3.9733
1.8429 -0.5966 8.1628
Se Ce
8 4
direct
0.8906 0.7793 0.5356 Se
0.1094 0.2207 0.4644 Se
0.2207 0.1094 0.9644 Se
0.1809 0.8191 0.7500 Se
0.7793 0.8906 0.0356 Se
0.8191 0.1809 0.2500 Se
0.5000 0.0000 0.5000 Se
0.0000 0.5000 0.0000 Se
0.0371 0.2532 0.1699 Ce
0.7468 0.9629 0.3301 Ce
0.2532 0.0371 0.6699 Ce
0.9629 0.7468 0.8301 Ce

=====

PrMnSi2 PBE relaxed; MP2020-corrected energy = -6.764 eV/atom; crystal system = orthorhombic; total moment = 3.907 μB/cell
1.0
-5.9628 6.7446 0.9546
3.5380 -8.0757 2.0545
2.3863 1.7293 2.6879
Pr Si Mn
2 4 2
direct
0.1019 0.8981 0.2500 Pr
0.8981 0.1019 0.7500 Pr
0.3211 0.6789 0.2500 Si
0.6789 0.3211 0.7500 Si
0.5367 0.4633 0.7500 Si
0.4633 0.5367 0.2500 Si
0.2497 0.7503 0.7500 Mn
0.7503 0.2497 0.2500 Mn

=====

Na3YNbSi2PO12 PBE relaxed; MP2020-corrected energy = -7.787 eV/atom; energy above the most stable polymorph in this dataset = 3 meV/atom; total moment = 0.000 μB/cell
1.0
-2.9860 -6.8140 -5.5021
2.9837 -1.9346 8.5425
-21.1828 2.7072 7.7741
O Y Na Nb P Si
72 6 18 6 6 12
direct
0.3072 0.8539 0.9699 O
0.4703 0.1233 0.6443 O
0.9995 0.8146 0.4107 O
0.3328 0.4813 0.0774 O
0.1854 0.4861 0.2551 O
0.8472 0.4812 0.4217 O
0.8892 0.3395 0.6434 O
0.0230 0.8289 0.6994 O
0.9548 0.8144 0.0893 O
0.0081 0.1923 0.9134 O
0.3625 0.8677 0.8557 O
0.8588 0.0543 0.0835 O
0.1854 0.0005 0.9107 O
0.4759 0.1732 0.5282 O
0.1856 0.0452 0.5893 O
0.8268 0.5241 0.0282 O
0.8523 0.3786 0.9227 O
0.6748 0.5256 0.2467 O
0.9738 0.1872 0.3032 O
0.8035 0.7844 0.9105 O
0.8767 0.5297 0.1443 O
0.5254 0.3877 0.4168 O
0.8377 0.3103 0.5328 O
0.1601 0.1907 0.6949 O
0.0291 0.2010 0.1891 O
0.1369 0.4510 0.5771 O
0.6662 0.1479 0.7441 O
0.4934 0.8574 0.3615 O
0.6897 0.1623 0.0328 O
0.5490 0.8631 0.0771 O
0.8521 0.8194 0.5884 O
0.1806 0.1479 0.0884 O
0.5188 0.1528 0.9217 O
0.8037 0.7899 0.3109 O
0.1426 0.5066 0.8615 O
0.5190 0.7119 0.2560 O
0.4657 0.3042 0.0224 O
0.2790 0.8079 0.2502 O
0.5187 0.6672 0.5774 O
0.8128 0.0262 0.8032 O
0.8077 0.9918 0.4134 O
0.5044 0.6436 0.8661 O
0.2226 0.0062 0.3100 O
0.6123 0.4746 0.9168 O
0.3564 0.4956 0.3661 O
0.6405 0.5205 0.6365 O
0.1410 0.6585 0.0800 O
0.6214 0.1477 0.4227 O
0.4702 0.1177 0.2438 O
0.8823 0.5298 0.7438 O
0.6958 0.5343 0.5224 O
0.5559 0.6729 0.9767 O
0.3271 0.4441 0.4767 O
0.5434 0.8630 0.4776 O
0.9938 0.7774 0.8100 O
0.4795 0.3595 0.1365 O
0.6605 0.1108 0.1434 O
0.1921 0.7210 0.7502 O
0.3415 0.8590 0.5800 O
0.5139 0.8146 0.7551 O
0.1461 0.6928 0.4699 O
0.7990 0.9709 0.6891 O
0.1323 0.6375 0.3557 O
0.9457 0.1412 0.5835 O
0.2101 0.1963 0.8109 O
0.1711 0.9770 0.1994 O
0.8093 0.8399 0.1949 O
0.1370 0.4566 0.9776 O
0.8521 0.3338 0.2441 O
0.4744 0.3252 0.7467 O
0.2156 0.1965 0.4105 O
0.2881 0.4810 0.7560 O
0.3216 0.6653 0.5181 Y
0.0013 0.0117 0.3515 Y
0.9883 0.9987 0.8515 Y
0.6680 0.3451 0.6848 Y
0.3347 0.6784 0.0181 Y
0.6549 0.3320 0.1848 Y
0.3238 0.6565 0.1636 Na
0.9834 0.3415 0.7506 Na
0.9808 0.6240 0.2469 Na
0.0427 0.3525 0.0802 Na
0.6768 0.3429 0.3303 Na
0.6585 0.0166 0.2506 Na
0.0102 0.0096 0.9970 Na
0.9904 0.9898 0.4970 Na
0.7094 0.6859 0.4136 Na
0.3760 0.0192 0.7469 Na
0.9918 0.6833 0.9173 Na
0.6475 0.9573 0.5802 Na
0.3251 0.3500 0.5839 Na
0.6571 0.3232 0.8303 Na
0.3141 0.2906 0.9136 Na
0.3167 0.0082 0.4173 Na
0.6500 0.6749 0.0839 Na
0.3435 0.6762 0.6636 Na
0.9961 0.9919 0.6481 Nb
0.3294 0.6585 0.3148 Nb
0.0081 0.0039 0.1481 Nb
0.3415 0.6706 0.8148 Nb
0.6748 0.3372 0.4815 Nb
0.6628 0.3252 0.9815 Nb
0.9554 0.3155 0.5852 P
0.2887 0.9822 0.2518 P
0.0178 0.7113 0.7518 P
0.3511 0.3779 0.4185 P
0.6845 0.0446 0.0852 P
0.6221 0.6489 0.9185 P
0.0095 0.3042 0.2483 Si
0.2906 0.3013 0.7524 Si
0.3625 0.3238 0.0817 Si
0.6762 0.6375 0.5817 Si
0.6987 0.7094 0.2524 Si
0.6958 0.9905 0.7483 Si
0.6239 0.9680 0.4191 Si
0.3653 0.0427 0.5857 Si
0.0320 0.3761 0.9191 Si
0.0292 0.6571 0.4150 Si
0.9573 0.6347 0.0857 Si
0.3429 0.9708 0.9150 Si

=====

Zn4GeN4 PBE relaxed; MP2020-corrected energy = -4.814 eV/atom; crystal system = orthorhombic; total moment = 0.001 μB/cell
1.0
5.3007 0.0000 0.0000
0.0000 11.0891 0.0000
0.0000 0.0000 8.0463
N Zn Ge
16 16 4
direct
0.4196 0.6291 0.3962 N
0.9196 0.8709 0.8962 N
0.9196 0.6291 0.6038 N
0.5176 0.5949 0.8319 N
0.9824 0.4051 0.8319 N
0.0176 0.9051 0.3319 N
0.0176 0.5949 0.1681 N
0.9824 0.0949 0.6681 N
0.0804 0.3709 0.3962 N
0.0804 0.1291 0.1038 N
0.4824 0.0949 0.3319 N
0.4196 0.8709 0.1038 N
0.5804 0.3709 0.6038 N
0.5804 0.1291 0.8962 N
0.5176 0.9051 0.6681 N
0.4824 0.4051 0.1681 N
0.7426 0.7500 0.7500 Zn
0.7500 0.0000 0.4465 Zn
0.2574 0.2500 0.2500 Zn
0.7876 0.8654 0.1269 Zn
0.2124 0.1346 0.8731 Zn
0.2426 0.7500 0.2500 Zn
0.7500 0.5000 0.0535 Zn
0.2876 0.8654 0.8731 Zn
0.2124 0.3654 0.6269 Zn
0.7574 0.2500 0.7500 Zn
0.2876 0.6346 0.6269 Zn
0.2500 0.5000 0.9465 Zn
0.7124 0.3654 0.3731 Zn
0.2500 0.0000 0.5535 Zn
0.7124 0.1346 0.1269 Zn
0.7876 0.6346 0.3731 Zn
0.7500 0.0000 0.7942 Ge
0.2500 0.5000 0.2942 Ge
0.2500 0.0000 0.2058 Ge
0.7500 0.5000 0.7058 Ge

=====

NaAl4PS5O24 PBE relaxed; MP2020-corrected energy = -7.046 eV/atom; crystal system = triclinic; total moment = 0.001 μB/cell
1.0
-6.3007 4.2252 -3.3199
-1.0428 -7.9122 2.2077
-6.1050 6.2793 19.7560
S O Na P Al
15 72 3 3 12
direct
0.3766 0.0437 0.5834 S
0.7113 0.7121 0.2500 S
0.0453 0.6691 0.4166 S
0.6212 0.9532 0.4165 S
0.9565 0.3332 0.5835 S
0.6656 0.0443 0.0830 S
0.0020 0.7110 0.7496 S
0.9572 0.6225 0.0830 S
0.3326 0.3777 0.4169 S
0.6671 0.6234 0.5834 S
0.0463 0.3798 0.9167 S
0.2880 0.9997 0.2501 S
0.7117 0.9991 0.7498 S
0.3784 0.3351 0.0838 S
0.2871 0.2898 0.7501 S
0.8335 0.0245 0.0908 O
0.8377 0.5397 0.0280 O
0.5272 0.8347 0.7568 O
0.5082 0.1466 0.9253 O
0.8128 0.8412 0.9080 O
0.6935 0.1685 0.7413 O
0.5378 0.8389 0.4726 O
0.0266 0.1938 0.9084 O
0.8581 0.4998 0.4251 O
0.9627 0.7916 0.8043 O
0.6404 0.1412 0.4249 O
0.6332 0.1272 0.1389 O
0.3058 0.4737 0.7577 O
0.4598 0.1622 0.5279 O
0.2058 0.1704 0.8049 O
0.8731 0.3692 0.6385 O
0.9746 0.8091 0.0918 O
0.3005 0.4610 0.4727 O
0.6457 0.4961 0.9251 O
0.1652 0.6894 0.7580 O
0.3716 0.4970 0.3619 O
0.0328 0.8263 0.6936 O
0.8312 0.0377 0.8048 O
0.3674 0.8710 0.8581 O
0.0249 0.8336 0.4077 O
0.2073 0.0345 0.3063 O
0.7037 0.1641 0.0280 O
0.3095 0.8360 0.2594 O
0.0342 0.2016 0.1928 O
0.3570 0.4987 0.0752 O
0.8326 0.8072 0.5925 O
0.8293 0.7903 0.3061 O
0.1265 0.6315 0.3617 O
0.6311 0.5039 0.6385 O
0.9744 0.1672 0.5924 O
0.8320 0.5243 0.7411 O
0.5006 0.6409 0.5739 O
0.4963 0.1270 0.6385 O
0.7936 0.8260 0.1944 O
0.1926 0.1647 0.0910 O
0.1632 0.9789 0.9081 O
0.1402 0.4992 0.5740 O
0.1241 0.4929 0.8602 O
0.8376 0.2977 0.5278 O
0.5004 0.8601 0.0760 O
0.4594 0.2972 0.0287 O
0.8254 0.3090 0.2417 O
0.5027 0.8721 0.3612 O
0.8603 0.3596 0.9245 O
0.1731 0.2054 0.6936 O
0.5010 0.6273 0.8583 O
0.2943 0.8336 0.9747 O
0.5369 0.7008 0.9749 O
0.1928 0.0255 0.5923 O
0.5286 0.6958 0.2595 O
0.9613 0.1661 0.3080 O
0.1717 0.9635 0.1945 O
0.3593 0.8598 0.5740 O
0.1405 0.6396 0.0751 O
0.6896 0.5245 0.2423 O
0.1601 0.7002 0.4727 O
0.7955 0.9683 0.6937 O
0.4745 0.3074 0.7414 O
0.5018 0.3591 0.4253 O
0.8056 0.9718 0.4089 O
0.4730 0.1679 0.2422 O
0.4944 0.3658 0.1397 O
0.1691 0.1925 0.4086 O
0.8730 0.5080 0.1391 O
0.7022 0.5400 0.5279 O
0.1601 0.4578 0.9729 O
0.1707 0.4796 0.2604 O
0.9994 0.9957 0.9984 Na
0.6702 0.3326 0.3316 Na
0.6623 0.3326 0.8360 Na
0.9997 0.2887 0.2500 P
0.3340 0.9545 0.9168 P
0.6209 0.6667 0.9168 P
0.6733 0.3331 0.1858 Al
0.6664 0.3331 0.6863 Al
0.3409 0.6724 0.8159 Al
0.9980 0.0050 0.3520 Al
0.3333 0.6669 0.5211 Al
0.6595 0.3329 0.9779 Al
0.3283 0.6610 0.3094 Al
0.6666 0.3331 0.4816 Al
0.0018 0.0072 0.1480 Al
0.0003 0.0004 0.6467 Al
0.9991 0.9932 0.8564 Al
0.3395 0.6745 0.0185 Al

=====

Ca2SiO4 PBE relaxed; MP2020-corrected energy = -7.478 eV/atom; crystal system = monoclinic; energy above the most stable polymorph in this dataset = 175 meV/atom; total moment = 0.001 μB/cell
1.0
6.4488 2.6834 0.0000
-6.4488 2.6834 0.0000
0.0000 0.1383 5.5749
Ca O Si
4 8 2
direct
0.9875 0.1186 0.4297 Ca
0.1186 0.9875 0.9297 Ca
0.2523 0.7817 0.4241 Ca
0.7817 0.2523 0.9241 Ca
0.7394 0.2216 0.3564 O
0.2976 0.5472 0.2093 O
0.1725 0.3461 0.7699 O
0.3461 0.1725 0.2699 O
0.6855 0.8608 0.8475 O
0.2216 0.7394 0.8564 O
0.8608 0.6855 0.3475 O
0.5472 0.2976 0.7093 O
0.3640 0.6253 0.9230 Si
0.6253 0.3640 0.4230 Si

=====

The evaluated formation enthalpy at 0 K for the records listed, in turn: -0.701, -0.238, -2.403, -1.403, -0.566, -2.978, -0.036, -2.441, -3.302 eV/atom.